{"formula": "Mn3CrP4", "functional": "PBE", "state": "relaxed", "spacegroup": "Pm, No. 6", "lattice": [[3.1268, 0.0000, 0.0000], [0.0000, 5.2554, 0.0000], [0.0000, 0.0144, 5.9092]], "species": ["Cr", "P", "P", "P", "P", "Mn", "Mn", "Mn"], "frac_coords": [[0.5000, 0.5058, 0.3044], [0.5000, 0.6883, 0.9314], [0.0000, 0.3097, 0.0662], [0.0000, 0.8130, 0.4335], [0.5000, 0.1884, 0.5692], [0.5000, 0.0047, 0.1955], [0.0000, 0.4951, 0.6969], [0.0000, 0.9950, 0.8029]]}

=====

{"formula": "MnCrRe", "functional": "PBE", "state": "relaxed", "spacegroup": "F-43m, No. 216", "lattice": [[3.2306, -2.4394, 0.2789], [-0.5109, -4.0030, 0.4248], [0.9252, -2.4994, -3.0597]], "species": ["Mn", "Re", "Cr"], "frac_coords": [[0.5000, 0.5000, 0.5000], [0.7500, 0.7500, 0.7500], [0.0000, 0.0000, 0.0000]]}

=====

{"formula": "MnCr2Se3S", "functional": "PBE", "state": "relaxed", "spacegroup": "Cm, No. 8", "lattice": [[2.2569, -6.5299, 0.9177], [3.4141, -5.5640, -2.4416], [6.0111, -0.5564, 1.9106]], "species": ["Se", "Se", "Se", "S", "Cr", "Cr", "Mn"], "frac_coords": [[0.3692, 0.3692, 0.3008], [0.6372, 0.6372, 0.6939], [0.1285, 0.1285, 0.2004], [0.8615, 0.8615, 0.8188], [0.2595, 0.2595, 0.7612], [0.7458, 0.7458, 0.2390], [0.9983, 0.9983, 0.9859]]}

=====

{"formula": "MnCrSeS", "functional": "PBE", "state": "relaxed", "spacegroup": "R3m, No. 160", "lattice": [[5.9733, -1.8565, 0.0000], [5.9733, 1.8565, 0.0000], [5.3963, 0.0000, 3.1633]], "species": ["Se", "Cr", "S", "Mn"], "frac_coords": [[0.2541, 0.2541, 0.2541], [0.0088, 0.0088, 0.0088], [0.7486, 0.7486, 0.7486], [0.4886, 0.4886, 0.4886]]}

=====

{"formula": "MnZnCr4S8", "functional": "PBE", "state": "relaxed", "e_ij_max_c_m2": 0.02, "spacegroup": "F-43m, No. 216", "lattice": [[0.0000, 5.0451, 5.0451], [5.0451, 0.0000, 5.0451], [5.0451, 5.0451, 0.0000]], "species": ["Cr", "Cr", "Cr", "Cr", "S", "S", "S", "S", "S", "S", "S", "S", "Mn", "Zn"], "frac_coords": [[0.6242, 0.1253, 0.1253], [0.1253, 0.1253, 0.1253], [0.1253, 0.1253, 0.6242], [0.1253, 0.6242, 0.1253], [0.3646, 0.9062, 0.3646], [0.8857, 0.8857, 0.3430], [0.3430, 0.8857, 0.8857], [0.8857, 0.3430, 0.8857], [0.3646, 0.3646, 0.9062], [0.9062, 0.3646, 0.3646], [0.8857, 0.8857, 0.8857], [0.3646, 0.3646, 0.3646], [0.7500, 0.7500, 0.7500], [0.5000, 0.5000, 0.5000]]}

=====

{"formula": "MnCrSb", "functional": "PBE", "state": "relaxed", "spacegroup": "P6_3/mmc, No. 194", "lattice": [[2.2725, -3.9362, 0.0000], [2.2725, 3.9362, 0.0000], [0.0000, 0.0000, 5.5383]], "species": ["Mn", "Mn", "Sb", "Sb", "Cr", "Cr"], "frac_coords": [[0.0000, 0.0000, 0.0000], [0.0000, 0.0000, 0.5000], [0.3333, 0.6667, 0.2500], [0.6667, 0.3333, 0.7500], [0.3333, 0.6667, 0.7500], [0.6667, 0.3333, 0.2500]]}

=====

{"formula": "MnCrSb2", "functional": "PBE", "state": "relaxed", "spacegroup": "P-3m1, No. 164", "lattice": [[1.5454, -0.2267, -3.7364], [-2.9420, -2.5423, 1.1320], [-3.9004, 3.6955, -1.8374]], "species": ["Cr", "Sb", "Sb", "Mn"], "frac_coords": [[0.0000, 0.0000, 0.5000], [0.3333, 0.6667, 0.2493], [0.6667, 0.3333, 0.7507], [0.0000, 0.0000, 0.0000]]}

=====

{"formula": "ScMnCr", "functional": "PBE", "state": "relaxed", "spacegroup": "Amm2, No. 38", "lattice": [[-3.9432, 2.7591, 1.3110], [-0.6535, -4.6972, -1.5457], [0.7012, -2.5747, 7.5279]], "species": ["Mn", "Mn", "Mn", "Mn", "Cr", "Cr", "Cr", "Cr", "Sc", "Sc", "Sc", "Sc"], "frac_coords": [[0.3411, 0.1706, 0.0000], [0.8294, 0.6589, 0.0000], [0.8284, 0.1716, 0.0000], [0.1709, 0.8291, 0.5000], [0.0013, 0.9987, 0.7540], [0.0013, 0.9987, 0.2460], [0.6599, 0.8312, 0.5000], [0.1688, 0.3401, 0.5000], [0.3328, 0.6672, 0.1840], [0.3328, 0.6672, 0.8160], [0.6669, 0.3331, 0.6913], [0.6669, 0.3331, 0.3087]]}

=====

{"formula": "MnZn3Cr8Se16", "functional": "PBE", "state": "relaxed", "spacegroup": "R3m, No. 160", "lattice": [[12.4586, -3.7587, 0.0000], [12.4586, 3.7587, 0.0000], [11.3247, 0.0000, 6.4107]], "species": ["Cr", "Cr", "Cr", "Cr", "Cr", "Cr", "Cr", "Cr", "Se", "Se", "Se", "Se", "Se", "Se", "Se", "Se", "Se", "Se", "Se", "Se", "Se", "Se", "Se", "Se", "Zn", "Zn", "Zn", "Mn"], "frac_coords": [[0.5000, 0.9996, 0.5000], [0.5000, 0.5000, 0.9996], [0.0001, 0.5002, 0.0001], [0.0001, 0.0001, 0.5002], [0.7499, 0.7499, 0.7499], [0.5002, 0.0001, 0.0001], [0.2500, 0.2500, 0.2500], [0.9996, 0.5000, 0.5000], [0.8598, 0.4003, 0.8598], [0.1403, 0.5994, 0.1403], [0.8598, 0.8598, 0.4003], [0.6401, 0.6401, 0.0997], [0.3700, 0.3700, 0.3700], [0.1403, 0.1403, 0.5994], [0.3598, 0.3598, 0.9004], [0.3598, 0.9004, 0.3598], [0.6301, 0.6301, 0.6301], [0.5994, 0.1403, 0.1403], [0.8699, 0.8699, 0.8699], [0.4003, 0.8598, 0.8598], [0.6401, 0.0997, 0.6401], [0.0997, 0.6401, 0.6401], [0.1301, 0.1301, 0.1301], [0.9004, 0.3598, 0.3598], [0.0625, 0.0625, 0.0625], [0.9375, 0.9375, 0.9375], [0.5625, 0.5625, 0.5625], [0.4375, 0.4375, 0.4375]]}

=====

{"formula": "MnCrSi2", "functional": "PBE", "state": "relaxed", "spacegroup": "P2_1, No. 4", "lattice": [[4.5607, 0.0000, 0.0000], [0.0000, 4.5435, 0.0000], [0.0000, 0.0616, 4.5541]], "species": ["Cr", "Cr", "Mn", "Mn", "Si", "Si", "Si", "Si"], "frac_coords": [[0.1372, 0.3650, 0.1098], [0.6372, 0.6350, 0.8902], [0.8622, 0.1406, 0.6153], [0.3622, 0.8594, 0.3847], [0.3476, 0.3407, 0.5957], [0.8476, 0.6593, 0.4043], [0.1530, 0.8507, 0.8997], [0.6530, 0.1493, 0.1003]]}

=====

{"formula": "MnVCr2Te4", "functional": "PBE", "state": "relaxed", "spacegroup": "P2/m, No. 10", "lattice": [[-0.9659, -0.9789, 3.9099], [5.6375, -2.2011, 0.8417], [2.2380, 6.3897, 2.1526]], "species": ["V", "Cr", "Cr", "Mn", "Te", "Te", "Te", "Te"], "frac_coords": [[0.0000, 0.5000, 0.0000], [0.5000, 0.0000, 0.5000], [0.0000, 0.0000, 0.0000], [0.5000, 0.5000, 0.5000], [0.0000, 0.7509, 0.3307], [0.5000, 0.2497, 0.1636], [0.5000, 0.7503, 0.8364], [0.0000, 0.2491, 0.6693]]}

=====

{"formula": "TiMnCr", "functional": "PBE", "state": "relaxed", "spacegroup": "Amm2, No. 38", "lattice": [[-2.7457, 3.0026, -2.5701], [-2.0239, -3.0213, 3.1520], [0.6639, 5.4139, 5.6157]], "species": ["Cr", "Cr", "Cr", "Cr", "Ti", "Ti", "Ti", "Ti", "Mn", "Mn", "Mn", "Mn"], "frac_coords": [[0.9987, 0.0013, 0.2562], [0.9987, 0.0013, 0.7438], [0.8312, 0.6593, 0.0000], [0.3407, 0.1688, 0.0000], [0.6666, 0.3334, 0.6859], [0.6666, 0.3334, 0.3141], [0.3334, 0.6666, 0.1897], [0.3334, 0.6666, 0.8103], [0.1731, 0.3448, 0.5000], [0.8300, 0.1700, 0.0000], [0.1723, 0.8277, 0.5000], [0.6552, 0.8269, 0.5000]]}

=====

Going through the records in order, we get ΔH_f (0 K) values of -4.7 2.1 -4.3 -2.0 -14.2 0.5 -0.2 -0.1 -23.7 -1.3 -2.5 -0.6 eV per formula unit.